A geometry-optimized RbGeB3O7 structure. Source: the Materials Project, functional r²SCAN.

Computed properties:
The total moment is 0.00 μB/f.u. For the formation enthalpy at 0 K, the calculation gives -2403 meV per atom.

```
RbGeB3O7
1.0
9.3875 0.0000 0.0000
0.0000 9.4647 0.0000
0.0000 0.0000 6.9841
Rb Ge B O
4 4 12 28
Cartesian
0.1680 1.6432 0.0000
4.5257 6.3756 3.4920
4.8618 3.0891 0.0000
9.2194 7.8215 3.4920
2.2785 5.6743 0.1203
2.4153 0.9420 3.6123
6.9722 8.5227 0.1203
7.1090 3.7904 3.6123
0.2331 2.6052 3.8596
1.4201 4.0167 2.1735
1.6635 4.5636 4.4879
3.0303 9.2960 0.9959
3.2736 8.7490 5.6656
4.4606 7.3375 0.3676
4.9268 2.1271 3.8596
6.1138 0.7157 2.1735
6.3572 0.1687 4.4879
7.7240 4.9010 0.9959
7.9674 5.4480 5.6656
9.1544 6.8595 0.3676
0.5782 3.0090 2.4848
0.7902 1.2706 4.1371
0.7898 3.5947 4.8327
1.2089 6.9745 0.5356
1.8074 4.1385 0.8587
1.9224 4.8666 3.1446
2.3415 0.6211 1.8789
2.3522 5.3535 5.3709
2.7713 0.1343 6.6366
2.8863 8.8708 4.3507
3.4848 2.2421 4.0276
3.9035 6.0030 0.6450
3.9039 8.3270 1.3406
4.1156 7.7414 5.9769
5.2719 1.7233 2.4848
5.4835 1.1377 4.8327
5.4839 3.4617 4.1371
5.9027 7.2226 0.5356
6.5011 0.5939 0.8587
6.6161 9.3304 3.1446
7.0352 4.1112 1.8789
7.0459 8.8436 5.3709
7.4651 4.5981 6.6366
7.5801 5.3262 4.3507
8.1785 2.4902 4.0276
8.5976 5.8700 1.3406
8.5973 8.1940 0.6450
8.8093 6.4557 5.9769
```

***

A geometry-optimized Tb2GeB2O8 structure. Source: the Materials Project, functional r²SCAN.

Computed properties:
The total moment is 0.00 μB/f.u. For the formation enthalpy at 0 K, the calculation gives -3045 meV per atom.

```
Tb2GeB2O8
1.0
13.4338 0.0000 0.0000
0.0000 4.3881 0.0000
0.0000 0.0000 9.2419
Tb Ge B O
8 4 8 32
Cartesian
1.8796 0.1776 0.2319
1.8796 4.2105 4.8528
4.8373 2.0164 4.8528
4.8373 2.3716 0.2319
8.5966 2.0164 9.0100
8.5966 2.3716 4.3891
11.5542 0.1776 4.3891
11.5542 4.2105 9.0100
0.0000 1.8744 6.9314
0.0000 2.5136 2.3105
6.7169 0.3196 2.3105
6.7169 4.0685 6.9314
2.6910 2.0626 2.7423
2.6910 2.3255 7.3632
4.0259 0.1315 7.3632
4.0259 4.2566 2.7423
9.4079 0.1315 6.4996
9.4079 4.2566 1.8786
10.7429 2.0626 1.8786
10.7429 2.3255 6.4996
0.0578 0.8920 8.3503
0.0578 3.4961 3.7294
1.4396 1.4818 2.1432
1.4396 2.9062 6.7641
2.5805 2.0288 4.1781
2.5805 2.3593 8.7990
2.8755 0.9370 6.8531
2.8755 3.4511 2.2322
3.8415 1.2571 2.2322
3.8415 3.1310 6.8531
4.1364 0.1653 8.7990
4.1364 4.2228 4.1781
5.2773 0.7122 6.7641
5.2773 3.6759 2.1432
6.6592 1.3020 3.7294
6.6592 3.0860 8.3503
6.7747 1.3020 0.8916
6.7747 3.0860 5.5125
8.1565 0.7122 7.0987
8.1565 3.6759 2.4778
9.2975 0.1653 5.0638
9.2975 4.2228 0.4428
9.5924 1.2571 2.3887
9.5924 3.1310 7.0097
10.5584 0.9370 7.0097
10.5584 3.4511 2.3887
10.8533 2.0288 0.4428
10.8533 2.3593 5.0638
11.9942 1.4818 2.4778
11.9942 2.9062 7.0987
13.3761 0.8920 5.5125
13.3761 3.4961 0.8916
```

***

A geometry-optimized Zn10GeB8Rh18 structure. Source: the Materials Project, functional r²SCAN.

Computed properties:
The total moment is 0.00 μB/f.u. For the formation enthalpy at 0 K, the calculation gives -474 meV per atom.

```
Zn10GeB8Rh18
1.0
17.7357 0.0000 0.0000
0.0000 17.7357 0.0000
0.0000 0.0000 2.8623
Zn Ge B Rh
20 2 16 36
Cartesian
0.5583 3.4613 0.0000
0.8876 7.9802 0.0000
3.0236 5.8443 0.0000
3.4613 17.1774 0.0000
3.7824 12.6502 0.0000
5.0855 3.7824 0.0000
5.4065 8.3096 0.0000
5.8443 14.7121 0.0000
7.9802 16.8481 0.0000
8.3096 12.3292 0.0000
9.4261 5.4065 0.0000
9.7554 0.8876 0.0000
11.8914 3.0236 0.0000
12.3292 9.4261 0.0000
12.6502 13.9533 0.0000
13.9533 5.0855 0.0000
14.2744 0.5583 0.0000
14.7121 11.8914 0.0000
16.8481 9.7554 0.0000
17.1774 14.2744 0.0000
0.0000 0.0000 0.0000
8.8678 8.8678 0.0000
0.6795 11.7832 0.0000
2.1632 14.7458 0.0000
2.9153 9.5474 0.0000
2.9899 2.1632 0.0000
5.8779 11.0310 0.0000
5.9525 0.6795 0.0000
6.7046 5.8779 0.0000
8.1883 2.9153 0.0000
9.5474 14.8203 0.0000
11.0310 11.8578 0.0000
11.7832 17.0561 0.0000
11.8578 6.7046 0.0000
14.7458 15.5725 0.0000
14.8203 8.1883 0.0000
15.5725 2.9899 0.0000
17.0561 5.9525 0.0000
0.8610 5.8002 1.4311
1.0467 15.9145 1.4311
1.4179 10.2858 1.4311
1.5975 13.1461 1.4311
1.8212 1.0467 1.4311
2.7884 3.6914 1.4311
3.0676 8.0068 1.4311
3.6914 14.9472 1.4311
4.2783 10.4654 1.4311
4.5896 1.5975 1.4311
5.1764 6.0794 1.4311
5.8002 16.8747 1.4311
6.0794 12.5593 1.4311
7.0467 9.9145 1.4311
7.2703 4.2783 1.4311
7.4499 1.4179 1.4311
7.8212 7.0467 1.4311
8.0068 14.6681 1.4311
9.7289 3.0676 1.4311
9.9145 10.6890 1.4311
10.2858 16.3178 1.4311
10.4654 13.4574 1.4311
10.6890 7.8212 1.4311
11.6563 5.1764 1.4311
11.9355 0.8610 1.4311
12.5593 11.6563 1.4311
13.1461 16.1382 1.4311
13.4574 7.2703 1.4311
14.0443 2.7884 1.4311
14.6681 9.7289 1.4311
14.9472 14.0443 1.4311
15.9145 16.6890 1.4311
16.1382 4.5896 1.4311
16.3178 7.4499 1.4311
16.6890 1.8212 1.4311
16.8747 11.9355 1.4311
```

***

A geometry-optimized Ta5GeB2 structure. Source: the Materials Project, functional r²SCAN.

Computed properties:
The total moment is 0.00 μB/f.u. For the formation enthalpy at 0 K, the calculation gives -641 meV per atom.

```
Ta5GeB2
1.0
-3.1267 3.1267 5.8095
3.1267 -3.1267 5.8095
3.1267 3.1267 -5.8095
Ta Ge B
10 2 4
Cartesian
0.0000 0.0000 0.0000
4.1636 1.0369 -1.5950
1.0369 2.0898 -1.5950
4.1636 1.0369 1.5950
1.0369 2.0898 1.5950
0.0000 0.0000 5.8095
2.0898 1.0369 4.2145
-1.0369 2.0898 4.2145
2.0898 1.0369 7.4045
-1.0369 2.0898 7.4045
0.0000 0.0000 2.9048
0.0000 0.0000 8.7143
2.3779 0.7488 0.0000
2.3779 -0.7488 5.8095
0.7488 3.8755 0.0000
0.7488 2.3779 5.8095
```